one:
{"formula": "Li4Nb3Fe2Ni3O16", "functional": "PBE with a Hubbard U", "state": "optimized geometry", "sg": "No. 1", "crystal_system": "triclinic", "magnetic_moment_mub_per_cell": 15.00, "cell": [[6.052, 0.000, 0.000], [-3.016, 5.257, 0.000], [-0.063, -0.282, 9.745]], "species": ["Li", "Li", "Li", "Li", "Nb", "Nb", "Nb", "Fe", "Fe", "Ni", "Ni", "Ni", "O", "O", "O", "O", "O", "O", "O", "O", "O", "O", "O", "O", "O", "O", "O", "O"], "frac_coords": [[0.000, 0.000, 0.000], [0.020, 0.042, 0.518], [0.354, 0.717, 0.418], [0.684, 0.383, 0.898], [0.202, 0.400, 0.732], [0.363, 0.224, 0.230], [0.860, 0.224, 0.228], [0.370, 0.752, 0.989], [0.710, 0.410, 0.521], [0.193, 0.882, 0.727], [0.687, 0.891, 0.727], [0.853, 0.710, 0.227], [0.028, 0.059, 0.331], [0.044, 0.055, 0.819], [0.057, 0.553, 0.863], [0.182, 0.369, 0.119], [0.197, 0.897, 0.115], [0.342, 0.720, 0.621], [0.370, 0.255, 0.610], [0.488, 0.015, 0.850], [0.501, 0.571, 0.862], [0.536, 0.522, 0.355], [0.541, 0.081, 0.345], [0.678, 0.365, 0.114], [0.695, 0.900, 0.112], [0.874, 0.237, 0.613], [0.880, 0.736, 0.615], [0.982, 0.520, 0.354]]}

=====

two:
{"formula": "Li4Nb3Fe2Ni3O16", "functional": "PBE with a Hubbard U", "state": "optimized geometry", "sg": "No. 8", "crystal_system": "monoclinic", "magnetic_moment_mub_per_cell": 15.00, "cell": [[5.191, -3.029, 0.000], [5.191, 3.029, 0.000], [-0.166, 0.000, 9.794]], "species": ["Li", "Li", "Li", "Li", "Nb", "Nb", "Nb", "Fe", "Fe", "Ni", "Ni", "Ni", "O", "O", "O", "O", "O", "O", "O", "O", "O", "O", "O", "O", "O", "O", "O", "O"], "frac_coords": [[0.000, 0.000, 0.000], [0.014, 0.014, 0.518], [0.326, 0.326, 0.621], [0.660, 0.660, 0.103], [0.156, 0.653, 0.290], [0.653, 0.156, 0.290], [0.817, 0.817, 0.787], [0.316, 0.316, 0.993], [0.640, 0.640, 0.527], [0.166, 0.166, 0.292], [0.334, 0.825, 0.792], [0.825, 0.334, 0.792], [0.031, 0.481, 0.163], [0.140, 0.656, 0.908], [0.154, 0.154, 0.898], [0.320, 0.820, 0.406], [0.335, 0.335, 0.408], [0.480, 0.480, 0.177], [0.481, 0.031, 0.163], [0.513, 0.513, 0.675], [0.520, 0.960, 0.657], [0.656, 0.140, 0.908], [0.657, 0.657, 0.901], [0.820, 0.320, 0.406], [0.833, 0.833, 0.402], [0.960, 0.520, 0.657], [0.990, 0.990, 0.188], [0.997, 0.997, 0.703]]}

=====

Name the most stable of them. one.

=====

one:
{"formula": "LiNbFeO4", "functional": "PBE with a Hubbard U", "state": "optimized geometry", "piezo_max_c_m2": 0.1, "sg": "No. 5", "crystal_system": "monoclinic", "magnetic_moment_mub_per_cell": 16.00, "cell": [[4.356, -4.331, 0.000], [4.356, 4.331, 0.000], [-0.015, 0.000, 8.785]], "species": ["Li", "Li", "Li", "Li", "Nb", "Nb", "Nb", "Nb", "Fe", "Fe", "Fe", "Fe", "O", "O", "O", "O", "O", "O", "O", "O", "O", "O", "O", "O", "O", "O", "O", "O"], "frac_coords": [[0.117, 0.117, 0.375], [0.648, 0.117, 0.875], [0.883, 0.352, 0.125], [0.883, 0.883, 0.625], [0.134, 0.368, 0.750], [0.134, 0.866, 0.000], [0.631, 0.369, 0.500], [0.632, 0.866, 0.250], [0.125, 0.618, 0.375], [0.382, 0.359, 0.125], [0.382, 0.875, 0.625], [0.641, 0.618, 0.875], [0.136, 0.617, 0.623], [0.137, 0.617, 0.126], [0.138, 0.119, 0.121], [0.139, 0.114, 0.629], [0.379, 0.375, 0.373], [0.383, 0.863, 0.874], [0.383, 0.864, 0.377], [0.385, 0.374, 0.877], [0.625, 0.621, 0.627], [0.626, 0.615, 0.123], [0.631, 0.116, 0.129], [0.632, 0.119, 0.621], [0.881, 0.368, 0.379], [0.881, 0.862, 0.879], [0.884, 0.369, 0.871], [0.886, 0.861, 0.371]]}

=====

two:
{"formula": "LiNbFeO4", "functional": "PBE with a Hubbard U", "state": "optimized geometry", "sg": "No. 5", "crystal_system": "monoclinic", "magnetic_moment_mub_per_cell": 0.00, "cell": [[4.420, -4.443, 0.000], [4.420, 4.443, 0.000], [-0.110, 0.000, 8.734]], "species": ["Li", "Li", "Li", "Li", "Nb", "Nb", "Nb", "Nb", "Fe", "Fe", "Fe", "Fe", "O", "O", "O", "O", "O", "O", "O", "O", "O", "O", "O", "O", "O", "O", "O", "O"], "frac_coords": [[0.000, 0.000, 0.000], [0.049, 0.453, 0.251], [0.501, 0.499, 0.500], [0.547, 0.951, 0.749], [0.046, 0.747, 0.646], [0.253, 0.954, 0.354], [0.545, 0.248, 0.146], [0.752, 0.455, 0.854], [0.032, 0.228, 0.621], [0.271, 0.468, 0.878], [0.532, 0.729, 0.122], [0.772, 0.968, 0.379], [0.003, 0.261, 0.860], [0.003, 0.714, 0.863], [0.044, 0.733, 0.389], [0.049, 0.190, 0.389], [0.238, 0.497, 0.638], [0.267, 0.956, 0.611], [0.286, 0.997, 0.137], [0.311, 0.454, 0.112], [0.503, 0.762, 0.362], [0.505, 0.215, 0.363], [0.544, 0.232, 0.889], [0.546, 0.689, 0.888], [0.739, 0.997, 0.140], [0.768, 0.456, 0.111], [0.785, 0.495, 0.637], [0.810, 0.951, 0.611]]}

=====

three:
{"formula": "LiNbFeO4", "functional": "PBE with a Hubbard U", "state": "optimized geometry", "sg": "No. 1", "crystal_system": "triclinic", "magnetic_moment_mub_per_cell": 0.00, "cell": [[6.162, 0.000, 0.000], [3.078, 5.433, 0.000], [3.075, 1.655, 10.178]], "species": ["Li", "Li", "Li", "Li", "Nb", "Nb", "Nb", "Nb", "Fe", "Fe", "Fe", "Fe", "O", "O", "O", "O", "O", "O", "O", "O", "O", "O", "O", "O", "O", "O", "O", "O"], "frac_coords": [[0.000, 0.000, 0.000], [0.104, 0.184, 0.605], [0.498, 0.500, 0.500], [0.605, 0.684, 0.105], [0.053, 0.592, 0.302], [0.306, 0.341, 0.052], [0.553, 0.092, 0.802], [0.797, 0.841, 0.552], [0.051, 0.592, 0.803], [0.052, 0.092, 0.303], [0.552, 0.092, 0.303], [0.552, 0.592, 0.803], [0.146, 0.712, 0.429], [0.181, 0.249, 0.405], [0.191, 0.666, 0.931], [0.210, 0.212, 0.929], [0.394, 0.476, 0.175], [0.395, 0.018, 0.174], [0.440, 0.435, 0.700], [0.454, 0.976, 0.675], [0.650, 0.208, 0.931], [0.663, 0.749, 0.905], [0.709, 0.166, 0.431], [0.709, 0.708, 0.431], [0.893, 0.972, 0.676], [0.912, 0.518, 0.674], [0.923, 0.935, 0.201], [0.957, 0.471, 0.176]]}

=====

four:
{"formula": "LiNbFeO4", "functional": "PBE with a Hubbard U", "state": "optimized geometry", "sg": "No. 95", "crystal_system": "tetragonal", "magnetic_moment_mub_per_cell": 16.00, "cell": [[6.287, 0.000, 0.000], [0.000, 6.287, 0.000], [0.000, 0.000, 8.408]], "species": ["Li", "Li", "Li", "Li", "Nb", "Nb", "Nb", "Nb", "Fe", "Fe", "Fe", "Fe", "O", "O", "O", "O", "O", "O", "O", "O", "O", "O", "O", "O", "O", "O", "O", "O"], "frac_coords": [[0.000, 0.220, 0.000], [0.000, 0.780, 0.500], [0.220, 0.000, 0.250], [0.780, 0.000, 0.750], [0.215, 0.500, 0.250], [0.500, 0.215, 0.000], [0.500, 0.785, 0.500], [0.785, 0.500, 0.750], [0.260, 0.260, 0.625], [0.260, 0.740, 0.875], [0.740, 0.260, 0.375], [0.740, 0.740, 0.125], [0.024, 0.266, 0.257], [0.024, 0.734, 0.243], [0.266, 0.024, 0.993], [0.266, 0.976, 0.507], [0.268, 0.479, 0.015], [0.268, 0.521, 0.485], [0.479, 0.268, 0.235], [0.479, 0.732, 0.265], [0.521, 0.268, 0.765], [0.521, 0.732, 0.735], [0.732, 0.479, 0.985], [0.732, 0.521, 0.515], [0.734, 0.024, 0.007], [0.734, 0.976, 0.493], [0.976, 0.266, 0.743], [0.976, 0.734, 0.757]]}

=====

Name the most stable of them. four.

=====

one:
{"formula": "LiNbFeO4", "functional": "PBE with a Hubbard U", "state": "optimized geometry", "sg": "No. 2", "crystal_system": "triclinic", "magnetic_moment_mub_per_cell": 16.00, "cell": [[6.234, 0.000, 0.000], [-3.076, 5.427, 0.000], [-3.041, -1.855, 10.131]], "species": ["Li", "Li", "Li", "Li", "Nb", "Nb", "Nb", "Nb", "Fe", "Fe", "Fe", "Fe", "O", "O", "O", "O", "O", "O", "O", "O", "O", "O", "O", "O", "O", "O", "O", "O"], "frac_coords": [[0.098, 0.319, 0.428], [0.107, 0.832, 0.929], [0.893, 0.168, 0.071], [0.902, 0.681, 0.572], [0.009, 0.281, 0.770], [0.491, 0.261, 0.271], [0.509, 0.739, 0.729], [0.991, 0.719, 0.230], [0.490, 0.243, 0.750], [0.500, 0.000, 0.500], [0.500, 0.500, 0.000], [0.510, 0.757, 0.250], [0.232, 0.151, 0.855], [0.236, 0.614, 0.864], [0.239, 0.392, 0.640], [0.249, 0.899, 0.141], [0.250, 0.126, 0.364], [0.254, 0.671, 0.365], [0.293, 0.876, 0.644], [0.306, 0.384, 0.134], [0.694, 0.616, 0.866], [0.707, 0.124, 0.356], [0.746, 0.329, 0.635], [0.750, 0.874, 0.636], [0.751, 0.101, 0.859], [0.761, 0.608, 0.360], [0.764, 0.386, 0.136], [0.768, 0.849, 0.145]]}

=====

two:
{"formula": "LiNbFeO4", "functional": "PBE with a Hubbard U", "state": "optimized geometry", "sg": "No. 74", "crystal_system": "orthorhombic", "magnetic_moment_mub_per_cell": 0.00, "cell": [[-3.099, 3.103, 4.434], [3.099, -3.103, 4.434], [3.099, 3.103, -4.434]], "species": ["Li", "Li", "Nb", "Nb", "Fe", "Fe", "O", "O", "O", "O", "O", "O", "O", "O"], "frac_coords": [[0.357, 0.107, 0.250], [0.643, 0.893, 0.750], [0.000, 0.000, 0.500], [0.000, 0.500, 0.000], [0.000, 0.500, 0.500], [0.500, 0.500, 0.000], [0.212, 0.245, 0.967], [0.223, 0.755, 0.467], [0.224, 0.245, 0.521], [0.224, 0.704, 0.979], [0.776, 0.296, 0.021], [0.776, 0.755, 0.479], [0.777, 0.245, 0.533], [0.788, 0.755, 0.033]]}

=====

Name the most stable of them. one.

=====

one:
{"formula": "Li4Nb2Fe3Sb3O16", "functional": "PBE with a Hubbard U", "state": "optimized geometry", "sg": "No. 8", "crystal_system": "monoclinic", "magnetic_moment_mub_per_cell": 13.00, "cell": [[5.500, -3.121, 0.000], [5.500, 3.121, 0.000], [-0.148, 0.000, 9.991]], "species": ["Li", "Li", "Li", "Li", "Nb", "Nb", "Fe", "Fe", "Fe", "Sb", "Sb", "Sb", "O", "O", "O", "O", "O", "O", "O", "O", "O", "O", "O", "O", "O", "O", "O", "O"], "frac_coords": [[0.000, 0.000, 0.000], [0.004, 0.004, 0.487], [0.349, 0.349, 0.568], [0.685, 0.685, 0.088], [0.357, 0.357, 0.004], [0.684, 0.684, 0.484], [0.177, 0.676, 0.272], [0.676, 0.177, 0.272], [0.847, 0.847, 0.771], [0.185, 0.185, 0.266], [0.364, 0.843, 0.769], [0.843, 0.364, 0.769], [0.002, 0.002, 0.673], [0.020, 0.020, 0.183], [0.051, 0.472, 0.139], [0.167, 0.658, 0.902], [0.179, 0.179, 0.885], [0.339, 0.339, 0.373], [0.351, 0.873, 0.386], [0.472, 0.051, 0.139], [0.487, 0.487, 0.135], [0.535, 0.535, 0.587], [0.542, 0.967, 0.639], [0.658, 0.167, 0.902], [0.709, 0.709, 0.889], [0.844, 0.844, 0.389], [0.873, 0.351, 0.386], [0.967, 0.542, 0.639]]}

=====

two:
{"formula": "Li4Nb2Fe3Sb3O16", "functional": "PBE with a Hubbard U", "state": "optimized geometry", "sg": "No. 1", "crystal_system": "triclinic", "magnetic_moment_mub_per_cell": 12.85, "cell": [[6.280, 0.000, 0.000], [3.133, 5.449, 0.000], [0.048, 0.100, 10.007]], "species": ["Li", "Li", "Li", "Li", "Nb", "Nb", "Fe", "Fe", "Fe", "Sb", "Sb", "Sb", "O", "O", "O", "O", "O", "O", "O", "O", "O", "O", "O", "O", "O", "O", "O", "O"], "frac_coords": [[0.000, 0.000, 0.000], [0.006, 0.992, 0.485], [0.339, 0.317, 0.572], [0.675, 0.644, 0.088], [0.356, 0.291, 0.002], [0.680, 0.635, 0.486], [0.178, 0.148, 0.272], [0.671, 0.150, 0.273], [0.845, 0.311, 0.773], [0.181, 0.635, 0.268], [0.358, 0.798, 0.767], [0.844, 0.800, 0.767], [0.017, 0.965, 0.183], [0.024, 0.982, 0.669], [0.045, 0.484, 0.140], [0.179, 0.160, 0.901], [0.182, 0.645, 0.887], [0.332, 0.330, 0.376], [0.347, 0.787, 0.387], [0.470, 0.483, 0.141], [0.484, 0.031, 0.137], [0.521, 0.937, 0.609], [0.522, 0.508, 0.635], [0.659, 0.180, 0.908], [0.676, 0.624, 0.888], [0.837, 0.319, 0.392], [0.861, 0.788, 0.390], [0.961, 0.502, 0.634]]}

=====

Name the most stable of them. two.

=====

one:
{"formula": "Li2Fe3NiO8", "functional": "PBE with a Hubbard U", "state": "optimized geometry", "sg": "No. 12", "crystal_system": "monoclinic", "magnetic_moment_mub_per_cell": 14.00, "cell": [[4.874, -2.842, 0.000], [4.874, 2.842, 0.000], [-3.203, 0.000, 4.871]], "species": ["Li", "Li", "Fe", "Fe", "Fe", "Ni", "O", "O", "O", "O", "O", "O", "O", "O"], "frac_coords": [[0.000, 0.000, 0.000], [0.500, 0.500, 0.000], [0.000, 0.000, 0.500], [0.000, 0.500, 0.500], [0.500, 0.000, 0.500], [0.500, 0.500, 0.500], [0.227, 0.738, 0.710], [0.236, 0.236, 0.706], [0.262, 0.262, 0.299], [0.262, 0.773, 0.290], [0.738, 0.227, 0.710], [0.738, 0.738, 0.701], [0.764, 0.764, 0.294], [0.773, 0.262, 0.290]]}

=====

two:
{"formula": "Li2Fe3NiO8", "functional": "PBE with a Hubbard U", "state": "optimized geometry", "sg": "No. 160", "crystal_system": "trigonal", "magnetic_moment_mub_per_cell": 15.66, "cell": [[2.937, 1.696, 4.865], [-2.937, 1.696, 4.865], [0.000, -3.392, 4.865]], "species": ["Li", "Li", "Fe", "Fe", "Fe", "Ni", "O", "O", "O", "O", "O", "O", "O", "O"], "frac_coords": [[0.000, 0.000, 0.000], [0.380, 0.380, 0.380], [0.002, 0.002, 0.494], [0.002, 0.494, 0.002], [0.494, 0.002, 0.002], [0.620, 0.620, 0.620], [0.212, 0.751, 0.751], [0.245, 0.245, 0.245], [0.247, 0.247, 0.793], [0.247, 0.793, 0.247], [0.751, 0.212, 0.751], [0.751, 0.751, 0.212], [0.756, 0.756, 0.756], [0.793, 0.247, 0.247]]}

=====

three:
{"formula": "Li2Fe3NiO8", "functional": "PBE with a Hubbard U", "state": "optimized geometry", "sg": "No. 2", "crystal_system": "triclinic", "magnetic_moment_mub_per_cell": 14.00, "cell": [[5.911, 0.000, 0.000], [-2.924, 5.152, 0.000], [-0.012, -3.380, 4.929]], "species": ["Li", "Li", "Fe", "Fe", "Fe", "Ni", "O", "O", "O", "O", "O", "O", "O", "O"], "frac_coords": [[0.000, 0.000, 0.000], [0.000, 0.500, 0.000], [0.000, 0.000, 0.500], [0.000, 0.500, 0.500], [0.500, 0.000, 0.500], [0.500, 0.500, 0.500], [0.211, 0.041, 0.705], [0.227, 0.558, 0.716], [0.236, 0.438, 0.285], [0.236, 0.940, 0.289], [0.764, 0.060, 0.711], [0.764, 0.562, 0.715], [0.773, 0.442, 0.284], [0.789, 0.959, 0.295]]}

=====

Name the most stable of them. two.